DFT (GGA-PBE) results for crystalline CuH9C5NO5 at its relaxed geometry.

Properties
Its electronic total energy is -249.51 eV for the cell shown. The calculation puts the magnetic moment at 0.00 Bohr magnetons per cell. The value obtained for the calculated volume is 11.621 Å³ per atom. The formation energy from the elements is -0.683 eV/atom. The value obtained for the MP2020-corrected energy is -128.19 eV per formula unit.

a b c (Å): 6.736 7.830 10.353
angles (deg): 100.57 100.16 109.77
Fractional positions:
Cu1 0.125 0.068 0.126
Cu2 0.875 0.932 0.874
H1 0.014 0.381 0.562
H2 0.080 0.815 0.584
H3 0.094 0.853 0.420
H4 0.220 0.637 0.937
H5 0.284 0.544 0.337
H6 0.387 0.862 0.714
H7 0.388 0.778 0.319
H8 0.415 0.323 0.882
H9 0.439 0.304 0.578
H10 0.561 0.696 0.422
H11 0.585 0.677 0.118
H12 0.612 0.222 0.681
H13 0.613 0.138 0.286
H14 0.716 0.456 0.663
H15 0.780 0.363 0.063
H16 0.906 0.147 0.580
H17 0.920 0.185 0.416
H18 0.986 0.619 0.438
C1 0.110 0.762 0.487
C2 0.153 0.748 0.954
C3 0.289 0.223 0.917
C4 0.395 0.690 0.390
C5 0.462 0.816 0.635
C6 0.538 0.184 0.365
C7 0.605 0.310 0.610
C8 0.711 0.777 0.083
C9 0.847 0.252 0.046
C10 0.890 0.238 0.513
N1 0.328 0.757 0.509
N2 0.672 0.243 0.491
O1 0.015 0.745 0.852
O2 0.121 0.111 0.824
O3 0.227 0.859 0.072
O4 0.334 0.237 0.044
O5 0.347 0.179 0.338
O6 0.653 0.821 0.662
O7 0.666 0.763 0.956
O8 0.773 0.141 0.928
O9 0.879 0.889 0.176
O10 0.985 0.255 0.148